(1)
Density functional theory data (PBE-GGA) for an optimized crystal structure of BaIn2Pd.

Geometry as POSCAR:
```
BaIn2Pd
1.0
4.628 0.000 0.000
0.000 11.840 0.000
0.000 0.000 8.163
Ba In Pd
4 8 4
Direct
0.000 0.051 0.250 Ba
0.000 0.949 0.750 Ba
0.500 0.449 0.750 Ba
0.500 0.551 0.250 Ba
0.000 0.335 0.057 In
0.000 0.335 0.443 In
0.000 0.665 0.557 In
0.000 0.665 0.943 In
0.500 0.165 0.557 In
0.500 0.165 0.943 In
0.500 0.835 0.057 In
0.500 0.835 0.443 In
0.000 0.223 0.750 Pd
0.000 0.777 0.250 Pd
0.500 0.277 0.250 Pd
0.500 0.723 0.750 Pd
```

## Properties
The calculated formation energy comes out at -55.0 kJ/mol of atoms. The value obtained for the calculated density is 7.03 g/cm3.

=====

(2)
Density functional theory data (PBE-GGA) for an optimized crystal structure of CaI2O6.

Geometry as POSCAR:
```
CaI2O6
1.0
7.257 0.000 0.000
0.000 11.465 0.000
-5.229 0.000 7.115
Ca I O
4 8 24
Direct
0.226 0.100 0.003 Ca
0.226 0.400 0.503 Ca
0.774 0.600 0.497 Ca
0.774 0.900 0.997 Ca
0.238 0.075 0.463 I
0.238 0.425 0.963 I
0.320 0.714 0.557 I
0.320 0.786 0.057 I
0.680 0.214 0.943 I
0.680 0.286 0.443 I
0.762 0.575 0.037 I
0.762 0.925 0.537 I
0.025 0.539 0.827 O
0.025 0.961 0.327 O
0.058 0.206 0.377 O
0.058 0.294 0.877 O
0.122 0.602 0.526 O
0.122 0.898 0.026 O
0.379 0.093 0.345 O
0.379 0.407 0.845 O
0.457 0.747 0.304 O
0.457 0.753 0.804 O
0.468 0.108 0.904 O
0.468 0.392 0.404 O
0.532 0.608 0.596 O
0.532 0.892 0.096 O
0.543 0.247 0.196 O
0.543 0.253 0.696 O
0.621 0.593 0.155 O
0.621 0.907 0.655 O
0.878 0.102 0.974 O
0.878 0.398 0.474 O
0.942 0.706 0.123 O
0.942 0.794 0.623 O
0.975 0.039 0.673 O
0.975 0.461 0.173 O
```

## Properties
The calculated formation energy comes out at -147.4 kJ/mol of atoms. The calculation puts the corrected total energy (MP2020 scheme) at -0.39603 Ry/atom. The value obtained for the calculated density is 4.37 g/cm3.

=====

(3)
Density functional theory data (PBE-GGA) for an optimized crystal structure of BiPbO2F.

Geometry as POSCAR:
```
BiPbO2F
1.0
6.925 0.000 0.000
0.000 4.009 0.000
-0.111 0.000 6.511
Bi Pb O F
2 2 4 2
Direct
0.000 0.000 0.000 Bi
0.500 0.500 0.000 Bi
0.176 0.500 0.453 Pb
0.676 0.000 0.453 Pb
0.006 0.000 0.340 O
0.169 0.500 0.090 O
0.506 0.500 0.340 O
0.669 0.000 0.090 O
0.332 0.000 0.807 F
0.832 0.500 0.807 F
```

## Properties
The calculated formation energy comes out at -183.7 kJ/mol of atoms. The value obtained for the size of the total moment is 0.00 μB per formula unit. The calculation puts the corrected total energy (MP2020 scheme) at -0.42532 Ry/atom. The value obtained for the calculated density is 8.59 g/cm3.

=====

(4)
Density functional theory data (PBE-GGA) for an optimized crystal structure of Ba2ZnTe3.

Geometry as POSCAR:
```
Ba2ZnTe3
1.0
9.876 0.000 0.000
0.000 4.732 0.000
0.000 0.000 19.160
Ba Zn Te
8 4 12
Direct
0.080 0.250 0.212 Ba
0.246 0.750 0.458 Ba
0.254 0.250 0.958 Ba
0.420 0.750 0.712 Ba
0.580 0.250 0.288 Ba
0.746 0.750 0.042 Ba
0.754 0.250 0.542 Ba
0.920 0.750 0.788 Ba
0.140 0.250 0.636 Zn
0.360 0.750 0.136 Zn
0.640 0.250 0.864 Zn
0.860 0.750 0.364 Zn
0.005 0.750 0.602 Te
0.121 0.750 0.070 Te
0.185 0.250 0.775 Te
0.315 0.750 0.275 Te
0.379 0.250 0.570 Te
0.495 0.250 0.102 Te
0.505 0.750 0.898 Te
0.621 0.750 0.430 Te
0.685 0.250 0.725 Te
0.815 0.750 0.225 Te
0.879 0.250 0.930 Te
0.995 0.250 0.398 Te
```

## Properties
The calculated formation energy comes out at -148.3 kJ/mol of atoms. The value obtained for the size of the total moment is 0.00 μB per formula unit. The calculation puts the corrected total energy (MP2020 scheme) at -0.29089 Ry/atom. The value obtained for the calculated density is 5.36 g/cm3.

=====

(5)
Density functional theory data (PBE-GGA) for an optimized crystal structure of SmInCu4.

Geometry as POSCAR:
```
SmInCu4
1.0
0.000 3.649 3.649
3.649 0.000 3.649
3.649 3.649 0.000
Sm In Cu
1 1 4
Direct
0.000 0.000 0.000 Sm
0.250 0.250 0.250 In
0.127 0.624 0.624 Cu
0.624 0.127 0.624 Cu
0.624 0.624 0.127 Cu
0.624 0.624 0.624 Cu
```

## Properties
The calculated formation energy comes out at -23.7 kJ/mol of atoms. The value obtained for the calculated density is 8.88 g/cm3.

=====

(6)
Density functional theory data (PBE-GGA) for an optimized crystal structure of SiO2.

Geometry as POSCAR:
```
SiO2
1.0
7.222 0.000 0.000
0.000 7.222 0.000
0.000 0.000 21.124
Si O
18 36
Direct
0.000 0.000 0.250 Si
0.000 0.000 0.750 Si
0.000 0.207 0.128 Si
0.000 0.207 0.872 Si
0.000 0.793 0.128 Si
0.000 0.793 0.872 Si
0.207 0.000 0.372 Si
0.207 0.000 0.628 Si
0.282 0.500 0.076 Si
0.282 0.500 0.924 Si
0.500 0.282 0.424 Si
0.500 0.282 0.576 Si
0.500 0.718 0.424 Si
0.500 0.718 0.576 Si
0.718 0.500 0.076 Si
0.718 0.500 0.924 Si
0.793 0.000 0.372 Si
0.793 0.000 0.628 Si
0.000 0.000 0.096 O
0.000 0.000 0.404 O
0.000 0.000 0.596 O
0.000 0.000 0.904 O
0.000 0.184 0.205 O
0.000 0.184 0.795 O
0.000 0.816 0.205 O
0.000 0.816 0.795 O
0.184 0.000 0.295 O
0.184 0.000 0.705 O
0.186 0.316 0.106 O
0.186 0.316 0.894 O
0.186 0.684 0.106 O
0.186 0.684 0.894 O
0.256 0.500 0.000 O
0.316 0.186 0.394 O
0.316 0.186 0.606 O
0.316 0.814 0.394 O
0.316 0.814 0.606 O
0.500 0.256 0.500 O
0.500 0.500 0.095 O
0.500 0.500 0.405 O
0.500 0.500 0.595 O
0.500 0.500 0.905 O
0.500 0.744 0.500 O
0.684 0.186 0.394 O
0.684 0.186 0.606 O
0.684 0.814 0.394 O
0.684 0.814 0.606 O
0.744 0.500 0.000 O
0.814 0.316 0.106 O
0.814 0.316 0.894 O
0.814 0.684 0.106 O
0.814 0.684 0.894 O
0.816 0.000 0.295 O
0.816 0.000 0.705 O
```

## Properties
The calculated formation energy comes out at -313.1 kJ/mol of atoms. The calculation puts the corrected total energy (MP2020 scheme) at -0.61383 Ry/atom. The value obtained for the calculated density is 1.63 g/cm3.

=====

Question: Number 4 is which compound?
Answer: Ba2ZnTe3

=====

Question: Which of these has the highest calculated formation energy?
Answer: SmInCu4

=====

Copy entry 5 word for word.
Density functional theory data (PBE-GGA) for an optimized crystal structure of SmInCu4.

Geometry as POSCAR:
```
SmInCu4
1.0
0.000 3.649 3.649
3.649 0.000 3.649
3.649 3.649 0.000
Sm In Cu
1 1 4
Direct
0.000 0.000 0.000 Sm
0.250 0.250 0.250 In
0.127 0.624 0.624 Cu
0.624 0.127 0.624 Cu
0.624 0.624 0.127 Cu
0.624 0.624 0.624 Cu
```

## Properties
The calculated formation energy comes out at -23.7 kJ/mol of atoms. The value obtained for the calculated density is 8.88 g/cm3.